A relaxed structure of K2Mo7O20. Source: Materials Project, functional PBE with a Hubbard U.

a b c (Å): 3.9007 18.5261 22.4070
angles (deg): 90.00 90.00 90.00
With the nearest neighbours (Å) after each atom.
Fractional coordinates of all 116 atoms:
Mo: 0.0135 0.9692 0.7500  6 O 1.93-2.08
Mo: 0.0444 0.4096 0.1064  3 O 1.77-1.88
Mo: 0.0444 0.0904 0.8936  3 O 1.77-1.88
Mo: 0.0120 0.7500 0.0000  6 O 1.93-2.05
Mo: 0.9880 0.2500 0.5000  6 O 1.93-2.05
Mo: 0.9865 0.0308 0.2500  6 O 1.93-2.08
Mo: 0.9596 0.7945 0.6634  3 O 1.79-1.86
Mo: 0.0135 0.5308 0.2500  6 O 1.93-2.08
Mo: 0.0404 0.2945 0.6634  3 O 1.79-1.86
Mo: 0.9556 0.5904 0.6064  3 O 1.77-1.88
Mo: 0.9865 0.4692 0.7500  6 O 1.93-2.08
Mo: 0.0444 0.0904 0.6064  3 O 1.77-1.88
Mo: 0.0444 0.4096 0.3936  3 O 1.77-1.88
Mo: 0.9832 0.3514 0.2500  7 O 1.92-2.09
Mo: 0.9556 0.9096 0.1064  3 O 1.77-1.88
Mo: 0.9556 0.5904 0.8936  3 O 1.77-1.88
Mo: 0.0404 0.2055 0.3366  3 O 1.79-1.86
Mo: 0.9596 0.7055 0.1634  3 O 1.79-1.86
Mo: 0.9596 0.7945 0.8366  3 O 1.79-1.86
Mo: 0.0168 0.8514 0.2500  7 O 1.92-2.09
Mo: 0.9556 0.9096 0.3936  3 O 1.77-1.88
Mo: 0.9596 0.7055 0.3366  3 O 1.79-1.86
Mo: 0.0404 0.2945 0.8366  3 O 1.79-1.86
Mo: 0.0168 0.6486 0.7500  7 O 1.92-2.09
Mo: 0.9832 0.1486 0.7500  7 O 1.92-2.09
Mo: 0.9880 0.2500 0.0000  6 O 1.93-2.05
Mo: 0.0404 0.2055 0.1634  3 O 1.79-1.86
Mo: 0.0120 0.7500 0.5000  6 O 1.93-2.05
O: 0.0002 0.5585 0.6939  3 Mo 2.05-2.09
O: 0.5079 0.7500 0.5000  2 Mo 1.93-1.97
O: 0.5087 0.5316 0.2500  2 Mo 1.93-1.97
O: 0.5084 0.8517 0.2500  2 Mo 1.92-1.98
O: 0.0062 0.6108 0.1863  1 Mo 1.84
O: 0.4949 0.5957 0.6105  1 Mo 1.80
O: 0.5003 0.2078 0.3361  1 Mo 1.79
O: 0.9938 0.3892 0.8137  1 Mo 1.84
O: 0.5003 0.2922 0.6639  1 Mo 1.79
O: 0.9938 0.3892 0.6863  1 Mo 1.84
O: 0.5087 0.9684 0.7500  2 Mo 1.93-1.97
O: 0.0072 0.6851 0.8367  3 Mo 2.04-2.18
O: 0.4921 0.2500 0.0000  2 Mo 1.93-1.97
O: 0.9998 0.4415 0.3061  3 Mo 2.05-2.09
O: 0.0062 0.8017 0.5808  2 Mo 1.86-2.05
O: 0.9979 0.1495 0.9613  2 Mo 1.88-2.05
O: 0.9938 0.1983 0.0808  2 Mo 1.86-2.05
O: 0.4949 0.5957 0.8895  1 Mo 1.80
O: 0.9979 0.3505 0.0387  2 Mo 1.88-2.05
O: 0.5003 0.2922 0.8361  1 Mo 1.79
O: 0.5051 0.0957 0.8895  1 Mo 1.80
O: 0.0081 0.7390 0.2500  3 Mo 2.05-2.08
O: 0.4921 0.2500 0.5000  2 Mo 1.93-1.97
O: 0.4913 0.0316 0.2500  2 Mo 1.93-1.97
O: 0.0001 0.5032 0.5754  1 Mo 1.77
O: 0.0021 0.8505 0.4613  2 Mo 1.88-2.05
O: 0.0021 0.8505 0.0387  2 Mo 1.88-2.05
O: 0.9998 0.4415 0.1939  3 Mo 2.05-2.09
O: 0.4997 0.7922 0.6639  1 Mo 1.79
O: 0.9938 0.1983 0.4192  2 Mo 1.86-2.05
O: 0.4913 0.4684 0.7500  2 Mo 1.93-1.97
O: 0.9928 0.1851 0.8367  3 Mo 2.04-2.18
O: 0.4916 0.3517 0.2500  2 Mo 1.92-1.98
O: 0.4916 0.1483 0.7500  2 Mo 1.92-1.98
O: 0.9938 0.3017 0.9192  2 Mo 1.86-2.05
O: 0.4997 0.7078 0.1639  1 Mo 1.79
O: 0.5084 0.6483 0.7500  2 Mo 1.92-1.98
O: 0.5051 0.4043 0.3895  1 Mo 1.80
O: 0.9938 0.3017 0.5808  2 Mo 1.86-2.05
O: 0.9979 0.3505 0.4613  2 Mo 1.88-2.05
O: 0.0062 0.8892 0.8137  1 Mo 1.84
O: 0.9928 0.3149 0.1633  3 Mo 2.04-2.18
O: 0.0021 0.6495 0.5387  2 Mo 1.88-2.05
O: 0.0001 0.9968 0.4246  1 Mo 1.77
O: 0.9938 0.1108 0.3137  1 Mo 1.84
O: 0.9999 0.0032 0.5754  1 Mo 1.77
O: 0.5051 0.4043 0.1105  1 Mo 1.80
O: 0.4949 0.9043 0.3895  1 Mo 1.80
O: 0.9998 0.0585 0.6939  3 Mo 2.05-2.09
O: 0.0072 0.8149 0.1633  3 Mo 2.04-2.18
O: 0.9998 0.0585 0.8061  3 Mo 2.05-2.09
O: 0.0062 0.6983 0.0808  2 Mo 1.86-2.05
O: 0.4997 0.7078 0.3361  1 Mo 1.79
O: 0.0002 0.5585 0.8061  3 Mo 2.05-2.09
O: 0.9938 0.1108 0.1863  1 Mo 1.84
O: 0.9999 0.0032 0.9246  1 Mo 1.77
O: 0.0021 0.6495 0.9613  2 Mo 1.88-2.05
O: 0.9919 0.2610 0.7500  3 Mo 2.05-2.08
O: 0.0062 0.6108 0.3137  1 Mo 1.84
O: 0.9979 0.1495 0.5387  2 Mo 1.88-2.05
O: 0.0001 0.9968 0.0754  1 Mo 1.77
O: 0.0072 0.8149 0.3367  3 Mo 2.04-2.18
O: 0.0062 0.6983 0.4192  2 Mo 1.86-2.05
O: 0.9999 0.4968 0.0754  1 Mo 1.77
O: 0.9928 0.3149 0.3367  3 Mo 2.04-2.18
O: 0.9919 0.2390 0.2500  3 Mo 2.05-2.08
O: 0.0002 0.9415 0.1939  3 Mo 2.05-2.09
O: 0.5003 0.2078 0.1639  1 Mo 1.79
O: 0.5051 0.0957 0.6105  1 Mo 1.80
O: 0.0081 0.7610 0.7500  3 Mo 2.05-2.08
O: 0.0062 0.8017 0.9192  2 Mo 1.86-2.05
O: 0.5079 0.7500 0.0000  2 Mo 1.93-1.97
O: 0.0072 0.6851 0.6633  3 Mo 2.04-2.18
O: 0.4949 0.9043 0.1105  1 Mo 1.80
O: 0.0002 0.9415 0.3061  3 Mo 2.05-2.09
O: 0.9928 0.1851 0.6633  3 Mo 2.04-2.18
O: 0.0001 0.5032 0.9246  1 Mo 1.77
O: 0.9999 0.4968 0.4246  1 Mo 1.77
O: 0.0062 0.8892 0.6863  1 Mo 1.84
O: 0.4997 0.7922 0.8361  1 Mo 1.79
K: 0.4977 0.9066 0.5515  6 O 2.69-3.00
K: 0.4977 0.5934 0.4485  6 O 2.69-3.00
K: 0.5023 0.4066 0.9485  6 O 2.69-3.00
K: 0.4977 0.5934 0.0515  6 O 2.69-3.00
K: 0.5023 0.4066 0.5515  6 O 2.69-3.00
K: 0.5023 0.0934 0.0515  6 O 2.69-3.00
K: 0.4977 0.9066 0.9485  6 O 2.69-3.00
K: 0.5023 0.0934 0.4485  6 O 2.69-3.00

M_tot = 4.04 μB per formula unit
DFT total energy = -6.8918 eV/atom
crystal system = orthorhombic

A relaxed structure of Li3V3P8O29. Source: Materials Project, functional PBE with a Hubbard U.

a b c (Å): 9.7608 9.7608 13.8818
angles (deg): 89.88 89.88 60.16
With the nearest neighbours (Å) after each atom.
Fractional coordinates of all 86 atoms:
P: 0.6848 0.2308 0.0941  4 O 1.48-1.62
P: 0.6819 0.0877 0.5917  4 O 1.48-1.62
P: 0.7692 0.3152 0.9059  4 O 1.48-1.62
P: 0.0883 0.2269 0.5921  4 O 1.48-1.60
P: 0.2259 0.0859 0.0955  4 O 1.47-1.64
P: 0.0877 0.6843 0.0912  4 O 1.49-1.60
P: 0.7731 0.9117 0.4079  4 O 1.48-1.60
P: 0.3152 0.7691 0.4064  4 O 1.48-1.62
P: 0.3326 0.3346 0.8774  4 O 1.48-1.61
P: 0.3315 0.3388 0.3770  4 O 1.49-1.61
P: 0.9123 0.3181 0.4083  4 O 1.48-1.62
P: 0.9141 0.7741 0.9045  4 O 1.47-1.64
P: 0.3157 0.9123 0.9088  4 O 1.49-1.60
P: 0.6654 0.6674 0.1226  4 O 1.48-1.61
P: 0.2309 0.6848 0.5936  4 O 1.48-1.62
P: 0.6612 0.6685 0.6230  4 O 1.49-1.61
O: 0.3319 0.3352 0.2699  1 P 1.49
O: 0.1828 0.3301 0.9189  1 P 1.59
O: 0.6648 0.5200 0.5767  1 P 1.57
O: 0.9944 0.2464 0.3165  1 P 1.48
O: 0.6196 0.9028 0.4265  1 P 1.57
O: 0.5228 0.0928 0.5705  1 P 1.56
O: 0.0018 0.2056 0.5000  2 P 1.60-1.62
O: 0.0065 0.2384 0.6845  1 P 1.48
O: 0.2576 0.0815 0.5884  1 P 1.55
O: 0.2062 0.7938 0.5000  2 P 1.62
O: 0.3334 0.1858 0.4220  1 P 1.61
O: 0.9185 0.7424 0.4116  1 P 1.55
O: 0.2332 0.7621 0.3184  1 P 1.48
O: 0.6648 0.6681 0.7301  1 P 1.49
O: 0.6566 0.2568 0.5843  1 P 1.55
O: 0.2562 0.6585 0.0857  1 P 1.54
O: 0.3808 0.0942 0.0719  1 P 1.59
O: 0.1813 0.4874 0.4182  1 P 1.57
O: 0.0972 0.3804 0.5735  1 P 1.57
O: 0.8142 0.6666 0.5780  1 P 1.61
O: 0.7426 0.9173 0.9118  1 P 1.56
O: 0.9156 0.3396 0.9099  1 P 1.56
O: 0.7602 0.2341 0.8185  1 P 1.48
O: 0.3415 0.7438 0.9143  1 P 1.54
O: 0.4860 0.1830 0.9203  1 P 1.61
O: 0.3364 0.3265 0.7706  1 P 1.48
O: 0.2459 0.9995 0.8171  1 P 1.49
O: 0.5199 0.6663 0.0762  1 P 1.57
O: 0.9072 0.4772 0.4295  1 P 1.56
O: 0.2384 0.9978 0.1837  1 P 1.47
O: 0.0005 0.7541 0.1829  1 P 1.49
O: 0.0022 0.7616 0.8163  1 P 1.47
O: 0.3433 0.9126 0.4141  1 P 1.56
O: 0.4776 0.9046 0.9284  1 P 1.57
O: 0.7616 0.9935 0.3155  1 P 1.48
O: 0.6604 0.0844 0.0901  1 P 1.56
O: 0.6699 0.8172 0.0811  1 P 1.59
O: 0.2379 0.7668 0.6816  1 P 1.48
O: 0.4800 0.3352 0.4233  1 P 1.57
O: 0.7944 0.9982 0.5000  2 P 1.60-1.62
O: 0.3337 0.4801 0.9238  1 P 1.57
O: 0.3828 0.5244 0.5749  1 P 1.55
O: 0.0874 0.6567 0.5859  1 P 1.56
O: 0.5126 0.8187 0.5818  1 P 1.57
O: 0.6174 0.4765 0.9261  1 P 1.56
O: 0.0954 0.5224 0.0716  1 P 1.57
O: 0.4756 0.6172 0.4251  1 P 1.55
O: 0.7536 0.0056 0.6835  1 P 1.48
O: 0.0827 0.2574 0.0882  1 P 1.56
O: 0.7922 0.2078 0.0000  2 P 1.62
O: 0.9944 0.7967 0.0022  2 P 1.60-1.64
O: 0.8170 0.5140 0.0797  1 P 1.61
O: 0.5235 0.3826 0.0739  1 P 1.56
O: 0.2033 0.0056 0.9978  2 P 1.60-1.64
O: 0.7432 0.3434 0.4157  1 P 1.55
O: 0.6735 0.6636 0.2294  1 P 1.48
O: 0.9058 0.6192 0.9281  1 P 1.59
O: 0.7659 0.2398 0.1815  1 P 1.48
V: 0.5618 0.0029 0.0008  6 O 1.82-1.97
V: 0.9960 0.5689 0.5073  6 O 1.83-2.00
V: 0.5682 0.4318 0.5000  6 O 1.88-1.89
V: 0.4333 0.5667 0.0000  6 O 1.87-1.91
V: 0.4311 0.0040 0.4927  6 O 1.83-2.00
V: 0.9971 0.4382 0.9992  6 O 1.82-1.97
Li: 0.7709 0.9101 0.1929  3 O 1.87-2.07
Li: 0.3237 0.9020 0.6885  3 O 1.88-2.07
Li: 0.9088 0.3167 0.1952  2 O 1.85-1.89
Li: 0.0899 0.2291 0.8071  3 O 1.87-2.07
Li: 0.6833 0.0912 0.8048  2 O 1.85-1.89
Li: 0.0980 0.6763 0.3115  3 O 1.88-2.07

M_tot = 0.00 μB per formula unit
DFT total energy = -7.0402 eV/atom
crystal system = monoclinic

ΔH_f (0 K), respectively: -2031.6; -2511.1 meV per atom.